[1]
The following is a r2SCAN calculation of a relaxed structure of Na4As2O7, from the Materials Project.

abc: 5.9579 10.0545 12.2227
angles: 90.00 92.90 90.00
Closest atoms and distances in Å follow each position.
Space group C2/c (No. 15)
Unique sites:
Na1 0.1559 0.1779 0.3715 [8 per cell]  5 O 2.33-2.42
Na2 0.1925 0.4878 0.9039 [8 per cell]  4 O 2.24-2.44
As1 0.1449 0.1518 0.8617 [8 per cell]  4 O 1.67-1.80
O1 0.0000 0.0650 0.7500 [4 per cell]  2 As 1.80
O2 0.0649 0.1781 0.5544 [8 per cell]  1 As 1.68
O3 0.1748 0.4662 0.0932 [8 per cell]  1 As 1.67
O4 0.2338 0.2111 0.1865 [8 per cell]  1 As 1.68

Summary:
Total DFT energy (no corrections)   -8.39 eV per atom
Magnetization   0.00 μB per cell
Volume   14.062 Å³ per atom


[2]
The following is a r2SCAN calculation of a relaxed structure of HoCu4Ag, from the Materials Project.

abc: 7.0555 7.0555 7.0555
angles: 90.00 90.00 90.00
Closest atoms and distances in Å follow each position.
Space group F-43m (No. 216)
Unique sites:
Ho1 0.0000 0.0000 0.0000 [4 per cell]  12 Cu 2.93, 4 Ag 3.06
Cu1 0.1240 0.1240 0.6240 [16 per cell]  6 Cu 2.47-2.52
Ag1 0.2500 0.2500 0.2500 [4 per cell]  12 Cu 2.92, 4 Ho 3.06

Summary:
Total DFT energy (no corrections)   -16.51 eV per atom
Magnetization   0.00 μB per cell
Volume   14.634 Å³ per atom


[3]
The following is a r2SCAN calculation of a relaxed structure of YbB4Ru4, from the Materials Project.

abc: 7.4141 7.4141 14.9582
angles: 90.00 90.00 90.00
Closest atoms and distances in Å follow each position.
Space group I4_1/acd (No. 142, origin choice 2)
Unique sites:
Yb1 0.0000 0.2500 0.1250 [8 per cell]  12 Ru 2.88-3.20, 12 B 2.93-3.19
B1 0.1392 0.0822 0.2937 [32 per cell]  1 B 1.79
Ru1 0.1150 0.1001 0.4366 [32 per cell]  5 B 2.12-2.27

Summary:
Total DFT energy (no corrections)   -19.17 eV per atom
Magnetization   0.00 μB per cell
Volume   11.420 Å³ per atom